A relaxed structure of Na4Co3P4H18O24. Source: the Materials Project, functional PBE with a Hubbard U.

Lattice parameters (Å, degrees): 7.429 9.257 15.296 90.00 95.51 90.00
Sites, in units of the cell vectors:
Na (0.049, 0.108, 0.217)
Na (0.049, 0.392, 0.717)
Na (0.241, 0.515, 0.130)
Na (0.241, 0.985, 0.630)
Na (0.759, 0.015, 0.370)
Na (0.759, 0.485, 0.870)
Na (0.951, 0.608, 0.283)
Na (0.951, 0.892, 0.783)
Co (0.000, 0.000, 0.000)
Co (0.000, 0.500, 0.500)
Co (0.473, 0.740, 0.496)
Co (0.473, 0.760, 0.996)
Co (0.527, 0.240, 0.004)
Co (0.527, 0.260, 0.504)
P (0.253, 0.023, 0.427)
P (0.253, 0.477, 0.927)
P (0.397, 0.524, 0.617)
P (0.397, 0.976, 0.117)
P (0.603, 0.024, 0.883)
P (0.603, 0.476, 0.383)
P (0.747, 0.523, 0.073)
P (0.747, 0.977, 0.573)
H (0.047, 0.192, 0.874)
H (0.047, 0.308, 0.374)
H (0.074, 0.736, 0.947)
H (0.074, 0.764, 0.447)
H (0.137, 0.243, 0.543)
H (0.137, 0.257, 0.043)
H (0.225, 0.101, 0.888)
H (0.225, 0.399, 0.388)
H (0.269, 0.719, 0.733)
H (0.269, 0.781, 0.233)
H (0.338, 0.659, 0.299)
H (0.338, 0.841, 0.799)
H (0.356, 0.188, 0.778)
H (0.356, 0.312, 0.278)
H (0.362, 0.246, 0.183)
H (0.362, 0.254, 0.683)
H (0.379, 0.004, 0.301)
H (0.379, 0.496, 0.801)
H (0.621, 0.504, 0.199)
H (0.621, 0.996, 0.699)
H (0.638, 0.746, 0.317)
H (0.638, 0.754, 0.817)
H (0.644, 0.688, 0.722)
H (0.644, 0.812, 0.222)
H (0.662, 0.159, 0.201)
H (0.662, 0.341, 0.701)
H (0.731, 0.219, 0.767)
H (0.731, 0.281, 0.267)
H (0.775, 0.601, 0.612)
H (0.775, 0.899, 0.112)
H (0.863, 0.743, 0.957)
H (0.863, 0.757, 0.457)
H (0.926, 0.236, 0.553)
H (0.926, 0.264, 0.053)
H (0.953, 0.692, 0.626)
H (0.953, 0.808, 0.126)
O (0.036, 0.201, 0.066)
O (0.036, 0.299, 0.566)
O (0.075, 0.058, 0.375)
O (0.075, 0.442, 0.875)
O (0.089, 0.092, 0.880)
O (0.089, 0.408, 0.380)
O (0.248, 0.678, 0.249)
O (0.248, 0.822, 0.749)
O (0.255, 0.631, 0.970)
O (0.255, 0.869, 0.470)
O (0.263, 0.555, 0.535)
O (0.263, 0.945, 0.035)
O (0.285, 0.196, 0.720)
O (0.285, 0.304, 0.220)
O (0.305, 0.133, 0.503)
O (0.305, 0.367, 0.003)
O (0.310, 0.541, 0.704)
O (0.310, 0.959, 0.204)
O (0.416, 0.030, 0.365)
O (0.416, 0.470, 0.865)
O (0.450, 0.139, 0.889)
O (0.450, 0.361, 0.389)
O (0.481, 0.131, 0.114)
O (0.481, 0.369, 0.614)
O (0.519, 0.631, 0.386)
O (0.519, 0.869, 0.886)
O (0.550, 0.639, 0.611)
O (0.550, 0.861, 0.111)
O (0.584, 0.530, 0.135)
O (0.584, 0.970, 0.635)
O (0.690, 0.041, 0.796)
O (0.690, 0.459, 0.296)
O (0.695, 0.633, 0.997)
O (0.695, 0.867, 0.497)
O (0.715, 0.696, 0.780)
O (0.715, 0.804, 0.280)
O (0.737, 0.055, 0.965)
O (0.737, 0.445, 0.465)
O (0.745, 0.131, 0.530)
O (0.745, 0.369, 0.030)
O (0.752, 0.178, 0.251)
O (0.752, 0.322, 0.751)
O (0.911, 0.592, 0.620)
O (0.911, 0.908, 0.120)
O (0.925, 0.558, 0.125)
O (0.925, 0.942, 0.625)
O (0.964, 0.701, 0.434)
O (0.964, 0.799, 0.934)

**SG**: P2_1/c, No. 14
**Calculated total energy**: -5.71 eV/atom
**Total moment**: 7.0 μB/f.u.

A relaxed structure of Li9Mn2Co5O16. Source: the Materials Project, functional PBE with a Hubbard U.

Lattice parameters (Å, degrees): 3.018 9.908 9.983 77.92 87.10 87.02
Sites, in units of the cell vectors:
Li (0.000, 0.000, 0.000)
Li (0.003, 0.245, 0.627)
Li (0.006, 0.756, 0.870)
Li (0.493, 0.250, 0.373)
Li (0.495, 0.243, 0.876)
Li (0.505, 0.757, 0.124)
Li (0.507, 0.750, 0.627)
Li (0.994, 0.244, 0.130)
Li (0.997, 0.755, 0.373)
Mn (0.500, 0.500, 0.000)
Mn (0.500, 0.500, 0.500)
Co (0.000, 0.000, 0.500)
Co (0.000, 0.499, 0.750)
Co (0.000, 0.501, 0.250)
Co (0.499, 0.001, 0.758)
Co (0.501, 0.999, 0.242)
O (0.015, 0.114, 0.808)
O (0.029, 0.617, 0.068)
O (0.030, 0.114, 0.321)
O (0.030, 0.616, 0.569)
O (0.468, 0.387, 0.185)
O (0.469, 0.386, 0.685)
O (0.491, 0.110, 0.574)
O (0.495, 0.884, 0.916)
O (0.505, 0.116, 0.084)
O (0.509, 0.890, 0.426)
O (0.531, 0.614, 0.315)
O (0.532, 0.613, 0.815)
O (0.970, 0.384, 0.431)
O (0.970, 0.886, 0.679)
O (0.971, 0.383, 0.932)
O (0.985, 0.886, 0.192)

**Energy above the most stable polymorph in this dataset**: 86 meV per atom
**SG**: P-1, No. 2
**Total moment**: 10.0 μB/f.u.

A relaxed structure of CaPrCrO4. Source: the Materials Project, functional PBE with a Hubbard U.

Lattice parameters (Å, degrees): 6.595 6.595 5.611 90.00 90.00 131.18
Sites, in units of the cell vectors:
Ca (0.104, 0.896, 0.500)
Ca (0.896, 0.104, 0.000)
Pr (0.388, 0.612, 0.465)
Pr (0.612, 0.388, 0.965)
Cr (0.249, 0.751, 0.980)
Cr (0.751, 0.249, 0.480)
O (0.016, 0.479, 0.733)
O (0.082, 0.918, 0.924)
O (0.421, 0.579, 0.035)
O (0.479, 0.016, 0.233)
O (0.521, 0.984, 0.733)
O (0.579, 0.421, 0.535)
O (0.918, 0.082, 0.424)
O (0.984, 0.521, 0.233)

**SG**: Cmc2_1, No. 36
**Calculated total energy**: -7.63 eV/atom
**Total moment**: 3.0 μB/f.u.